! RbB5H8O12, optimized geometry, DFT PBE; values from VASP
&SYSTEM
  ibrav = 0, nat = 52, ntyp = 4
/
ATOMIC_SPECIES
Rb 85.47 Rb.upf
B 10.81 B.upf
H 1.01 H.upf
O 16.00 O.upf
CELL_PARAMETERS angstrom
13.972 0.000 0.000
0.000 6.391 5.791
0.000 -6.391 5.791
ATOMIC_POSITIONS angstrom
Rb 0.000 0.000 0.000
Rb 6.986 0.000 5.791
B 0.000 0.000 3.785
B 2.138 -0.977 2.878
B 2.133 0.637 4.470
B 4.848 -0.977 8.668
B 4.853 0.637 10.260
B 6.986 0.000 9.576
B 9.124 0.977 8.668
B 9.120 -0.637 10.260
B 11.834 0.977 2.878
B 11.839 -0.637 4.470
H 0.043 3.550 7.376
H 0.158 -1.193 7.393
H 0.161 1.572 6.827
H 2.702 -1.715 2.127
H 4.284 -1.715 7.917
H 6.826 -4.818 6.827
H 6.828 -1.193 1.602
H 6.944 -2.841 7.376
H 7.029 2.841 7.376
H 7.144 1.193 1.602
H 7.147 4.818 6.827
H 9.689 1.715 7.917
H 11.270 1.715 2.127
H 13.812 -1.572 6.827
H 13.815 1.193 7.393
H 13.930 -3.550 7.376
O 0.226 3.827 6.460
O 0.808 -0.875 2.941
O 0.884 0.843 4.687
O 1.231 -2.522 9.192
O 1.743 -1.534 9.736
O 2.936 -0.099 3.728
O 4.050 -0.099 9.519
O 5.243 -1.534 3.946
O 5.755 -2.522 3.402
O 6.102 0.843 10.478
O 6.178 -0.875 8.732
O 6.761 -2.563 6.460
O 7.212 2.563 6.460
O 7.795 0.875 8.732
O 7.871 -0.843 10.478
O 8.218 2.522 3.402
O 8.729 1.534 3.946
O 9.922 0.099 9.519
O 11.036 0.099 3.728
O 12.229 1.534 9.736
O 12.741 2.522 9.192
O 13.088 -0.843 4.687
O 13.164 0.875 2.941
O 13.747 -3.827 6.460
! Crystal system: orthorhombic
! Theoretical density, g/cm3: 1.09
! ΔH_f (0 K), meV per atom: -1084
! Total magnetic moment, μB/f.u.: 0.0